No. 1
Below is crystalline La3Tl at its relaxed geometry, with properties calculated at the GGA-PBE level.

Results
ΔE_f = -0.22 eV per atom
Electronic total energy = -36.09 eV for the cell shown
Energy above the most stable polymorph in this dataset = 0.022 eV per atom

Unit cell a=4.9835 b=4.9835 c=10.5395 alpha=90.00 beta=90.00 gamma=90.00
With the nearest neighbours (Å) after each atom.
Space group I4/mmm (No. 139)
One atom of each set of equivalent atoms:
La1 0.0000 0.0000 0.0000 (multiplicity 2)  4 Tl 3.52, 8 La 3.63
La2 0.0000 0.5000 0.2500 (multiplicity 4)  8 La 3.52-3.63, 4 Tl 3.63
Tl1 0.0000 0.0000 0.5000 (multiplicity 2)  12 La 3.52-3.63

---

No. 2
Below is crystalline LaTmTl2 at its relaxed geometry, with properties calculated at the GGA-PBE level.

Results
ΔE_f = -0.36 eV per atom
Electronic total energy = -62.31 eV for the cell shown

Unit cell a=7.7511 b=7.7511 c=7.7511 alpha=90.00 beta=90.00 gamma=90.00
With the nearest neighbours (Å) after each atom.
Space group Fm-3m (No. 225)
One atom of each set of equivalent atoms:
La1 0.0000 0.0000 0.0000 (multiplicity 4)  8 Tl 3.36
Tm1 0.0000 0.0000 0.5000 (multiplicity 4)  8 Tl 3.36
Tl1 0.2500 0.2500 0.2500 (multiplicity 8)  4 La 3.36, 4 Tm 3.36

---

No. 3
Below is crystalline La2TlZn at its relaxed geometry, with properties calculated at the GGA-PBE level.

Results
ΔE_f = -0.35 eV per atom
Electronic total energy = -59.65 eV for the cell shown

Unit cell a=7.7999 b=7.7999 c=7.7999 alpha=90.00 beta=90.00 gamma=90.00
With the nearest neighbours (Å) after each atom.
Space group Fm-3m (No. 225)
One atom of each set of equivalent atoms:
La1 0.2500 0.2500 0.2500 (multiplicity 8)  4 Tl 3.38, 4 Zn 3.38
Tl1 0.0000 0.0000 0.0000 (multiplicity 4)  8 La 3.38
Zn1 0.0000 0.0000 0.5000 (multiplicity 4)  8 La 3.38

---

No. 4
Below is crystalline LaTlZn at its relaxed geometry, with properties calculated at the GGA-PBE level.

Results
ΔE_f = -0.36 eV per atom
Electronic total energy = -19.29 eV for the cell shown

Unit cell a=4.8485 b=4.8485 c=7.8539 alpha=90.00 beta=90.00 gamma=120.00
With the nearest neighbours (Å) after each atom.
Space group P6_3/mmc (No. 194)
One atom of each set of equivalent atoms:
La1 0.0000 0.0000 0.0000 (multiplicity 2)  6 Zn 3.42, 6 Tl 3.42
Tl1 0.3333 0.6667 0.2500 (multiplicity 2)  3 Zn 2.80
Zn1 0.3333 0.6667 0.7500 (multiplicity 2)  3 Tl 2.80

---

No. 5
Below is crystalline La3Tm at its relaxed geometry, with properties calculated at the GGA-PBE level.

Results
ΔE_f = 0.03 eV per atom
Electronic total energy = -38.31 eV for the cell shown

Unit cell a=5.2117 b=5.2117 c=10.5056 alpha=90.00 beta=90.00 gamma=90.00
With the nearest neighbours (Å) after each atom.
Space group I4/mmm (No. 139)
One atom of each set of equivalent atoms:
La1 0.0000 0.0000 0.0000 (multiplicity 2)  4 Tm 3.69, 8 La 3.70
La2 0.0000 0.5000 0.2500 (multiplicity 4)  8 La 3.69-3.70, 4 Tm 3.70
Tm1 0.0000 0.0000 0.5000 (multiplicity 2)  12 La 3.69-3.70

---

No. 6
Below is crystalline LaY at its relaxed geometry, with properties calculated at the GGA-PBE level.

Results
ΔE_f = 0.04 eV per atom
Electronic total energy = -22.65 eV for the cell shown
Energy above the most stable polymorph in this dataset = 0.003 eV per atom

Unit cell a=3.6761 b=3.6761 c=11.9126 alpha=90.00 beta=90.00 gamma=120.00
With the nearest neighbours (Å) after each atom.
Space group P6_3/mmc (No. 194)
One atom of each set of equivalent atoms:
La1 0.3333 0.6667 0.2500 (multiplicity 2)  6 Y 3.66, 6 La 3.68
Y1 0.0000 0.0000 0.0000 (multiplicity 2)  6 La 3.66, 6 Y 3.68

---

No. 7
Below is crystalline LaY at its relaxed geometry, with properties calculated at the GGA-PBE level.

Results
ΔE_f = 0.04 eV per atom
Electronic total energy = -101.98 eV for the cell shown
Energy above the most stable polymorph in this dataset = 0.000 eV per atom

Unit cell a=3.6868 b=3.6868 c=53.1812 alpha=90.00 beta=90.00 gamma=120.00
With the nearest neighbours (Å) after each atom.
Space group R3m (No. 160, hexagonal axes)
One atom of each set of equivalent atoms:
La1 0.0000 0.0000 0.0000 (multiplicity 3)  6 Y 3.60-3.67, 6 La 3.69
La2 0.0000 0.0000 0.1109 (multiplicity 3)  3 Y 3.67, 9 La 3.69-3.73
La3 0.0000 0.0000 0.5018 (multiplicity 3)  3 Y 3.63, 9 La 3.69-3.73
Y1 0.0000 0.0000 0.3880 (multiplicity 3)  6 La 3.60-3.67, 6 Y 3.69
Y2 0.0000 0.0000 0.6104 (multiplicity 3)  9 Y 3.54-3.69, 3 La 3.67
Y3 0.0000 0.0000 0.8905 (multiplicity 3)  9 Y 3.54-3.69, 3 La 3.63

---

No. 8
Below is crystalline LaY at its relaxed geometry, with properties calculated at the GGA-PBE level.

Results
ΔE_f = 0.06 eV per atom
Electronic total energy = -101.55 eV for the cell shown
Energy above the most stable polymorph in this dataset = 0.024 eV per atom

Unit cell a=3.6753 b=3.6753 c=54.1491 alpha=90.00 beta=90.00 gamma=120.00
With the nearest neighbours (Å) after each atom.
Space group R3m (No. 160, hexagonal axes)
One atom of each set of equivalent atoms:
La1 0.0000 0.0000 0.0000 (multiplicity 3)  3 Y 3.65, 9 La 3.68-3.77
La2 0.0000 0.0000 0.2232 (multiplicity 3)  6 Y 3.67-3.73, 6 La 3.68
La3 0.0000 0.0000 0.7243 (multiplicity 3)  9 La 3.68-3.77, 3 Y 3.70
Y1 0.0000 0.0000 0.1136 (multiplicity 3)  9 Y 3.56-3.68, 3 La 3.70
Y2 0.0000 0.0000 0.4998 (multiplicity 3)  9 Y 3.56-3.68, 3 La 3.73
Y3 0.0000 0.0000 0.6118 (multiplicity 3)  6 La 3.65-3.67, 6 Y 3.68

---

- The highest ΔE_f belongs to which entry?
  number 8

---

- What is the formula in the sixth record?
  LaY

---

- Among the records above, which one has the highest ΔE_f?
  number 8